# 1
The following is a PBE-GGA calculation of Ba2MgCuO3 after structural relaxation, from the Materials Project database.

Summary:
- E_form (eV per atom) = -1.67
- magnetization (μB per formula unit) = 0.1
- total energy (eV/atom) = -4.8635

abc: 3.4059 5.0890 8.1133
angles: 108.03 101.90 90.33
Closest atoms and distances in Å follow each position.
Fractional coordinates of all 7 atoms:
Ba  0.0000  0.0000  0.0000  2 O 2.64-2.65
Ba  0.2929  0.2874  0.5744  1 O 2.39
Mg  0.1902  0.6956  0.3891  2 O 2.08-2.09
Cu  0.5664  0.5653  0.1364  1 O 1.84
O  0.4502  0.4454  0.8918  1 Cu 1.84
O  0.6351  0.1339  0.2685  4 Ba 2.64-2.88, 2 Cu 2.72-2.75
O  0.7702  0.7749  0.5485  2 Mg 2.08-2.09

=====

# 2
The following is a PBE-GGA calculation of BaMg6CuO8 after structural relaxation, from the Materials Project database.

Summary:
- E_form (eV per atom) = -2.40
- magnetization (μB per formula unit) = 0.2
- total energy (eV/atom) = -5.5019

abc: 4.7114 4.7114 8.6085
angles: 90.00 90.00 90.00
Closest atoms and distances in Å follow each position.
Fractional coordinates of all 16 atoms:
Ba  0.0000  0.0000  0.0000  6 O 2.36-2.45
Mg  0.0000  0.5000  0.2669  1 O 2.01
Mg  0.0000  0.5000  0.7331  1 O 2.01
Mg  0.5000  0.0000  0.2669  1 O 2.01
Mg  0.5000  0.0000  0.7331  1 O 2.01
Mg  0.5000  0.5000  0.0000  6 O 2.16-2.36
Mg  0.5000  0.5000  0.5000  6 O 2.14-2.36
Cu  0.0000  0.0000  0.5000  2 O 1.85
O  0.0000  0.0000  0.2848  1 Cu 1.85
O  0.0000  0.0000  0.7152  1 Cu 1.85
O  0.0000  0.5000  0.0000  4 Mg 2.30-2.36, 2 Ba 2.36
O  0.0000  0.5000  0.5000  2 Mg 2.01
O  0.5000  0.0000  0.0000  4 Mg 2.30-2.36, 2 Ba 2.36
O  0.5000  0.0000  0.5000  2 Mg 2.01
O  0.5000  0.5000  0.2513  6 Mg 2.14-2.36
O  0.5000  0.5000  0.7487  6 Mg 2.14-2.36

=====

# 3
The following is a PBE-GGA calculation of Ba4MgCu4O8 after structural relaxation, from the Materials Project database.

Summary:
- E_form (eV per atom) = -1.84
- magnetization (μB per formula unit) = 0.4
- total energy (eV/atom) = -5.3534

abc: 5.9629 3.5409 12.5390
angles: 90.00 90.44 90.00
Closest atoms and distances in Å follow each position.
Fractional coordinates of all 17 atoms:
Ba  0.0062  0.0000  0.1490  4 O 2.68
Ba  0.4912  0.0000  0.6278  8 O 2.73-2.93
Ba  0.5088  0.0000  0.3722  8 O 2.73-2.93
Ba  0.9938  0.0000  0.8510  4 O 2.68
Mg  0.5000  0.0000  0.0000  4 O 2.20
Cu  0.0038  0.5000  0.3846  4 O 1.97-2.14
Cu  0.4947  0.5000  0.8441  2 O 2.02
Cu  0.5053  0.5000  0.1559  2 O 2.02
Cu  0.9962  0.5000  0.6154  4 O 1.97-2.14
O  0.2283  0.5000  0.5006  2 Cu 1.97-2.00
O  0.2354  0.5000  0.7394  2 Cu 2.02-2.10
O  0.2500  0.5000  0.2609  2 Cu 2.02-2.14
O  0.2813  0.5000  0.0014  2 Mg 2.20, 2 Cu 2.34-2.36
O  0.7187  0.5000  0.9986  2 Mg 2.20, 2 Cu 2.34-2.36
O  0.7500  0.5000  0.7391  2 Cu 2.02-2.14
O  0.7646  0.5000  0.2606  2 Cu 2.02-2.10
O  0.7717  0.5000  0.4994  2 Cu 1.97-2.00

=====

# 4
The following is a PBE-GGA calculation of Ba2MgCuO3 after structural relaxation, from the Materials Project database.

Summary:
- E_form (eV per atom) = -1.95
- magnetization (μB per formula unit) = 0.3
- total energy (eV/atom) = -5.1386

abc: 9.7418 9.7418 9.7418
angles: 158.91 157.96 30.70
Closest atoms and distances in Å follow each position.
Fractional coordinates of all 7 atoms:
Ba  0.0000  0.0000  0.0000  6 O 2.76-2.98
Ba  0.2218  0.2218  0.0000  6 O 2.73-2.98
Mg  0.3622  0.8622  0.5000  4 O 2.10-2.18
Cu  0.6110  0.6110  0.0000  2 O 1.86
O  0.1120  0.6120  0.5000  2 Cu 1.86
O  0.4208  0.4208  0.0000  2 Mg 2.10
O  0.8017  0.8017  0.0000  2 Mg 2.18

=====

| no. | E above lowest polymorph (kJ per mole of atoms) | E (MP2020) (eV per cell) |
| --- | --- | --- |
| 1 | 26.5 | -36.106 |
| 2 | 1.0 | -93.526 |
| 3 | 10.6 | -96.504 |
| 4 | 0.0 | -38.031 |